Here is crystalline Li3TiV4O8 at its relaxed geometry from Materials Project. Energies are from PBE+U.

Output
- ΔE_f: -2.483 eV per atom
- E_tot: -7.31 eV/atom

a = 10.444 Å, b = 6.082 Å, c = 6.085 Å
α = 90.00°, β = 125.09°, γ = 90.00°
Space group C2/m (No. 12)
Asymmetric unit:
Li (0.000, 0.000, 0.000) x2
Li (0.250, 0.250, 0.000) x4
Ti (0.000, 0.500, 0.500) x2
V (0.000, 0.000, 0.500) x2
V (0.000, 0.500, 0.000) x2
V (0.250, 0.250, 0.500) x4
O (0.003, 0.262, 0.266) x8
O (0.234, 0.500, 0.726) x4
O (0.250, 0.000, 0.738) x4



Here is crystalline YMo3O8 at its relaxed geometry from Materials Project. Energies are from PBE+U.

Output
- Energy above the lowest structure with this stoichiometry: 76 meV per atom
- ΔE_f: -2.268 eV per atom
- E_tot: -7.56 eV/atom

a = 9.990 Å, b = 5.860 Å, c = 5.262 Å
α = 90.00°, β = 90.33°, γ = 90.00°
Space group Cm (No. 8)
Asymmetric unit:
Y (0.000, 0.000, 0.000) x2
Mo (0.253, 0.232, 0.478) x4
Mo (0.474, 0.000, 0.483) x2
O (0.077, 0.261, 0.283) x4
O (0.161, 0.500, 0.671) x2
O (0.164, 0.000, 0.698) x2
O (0.314, 0.000, 0.211) x2
O (0.323, 0.500, 0.282) x2
O (0.409, 0.245, 0.714) x4



Here is crystalline Mn8Si6ClO24 at its relaxed geometry from Materials Project. Energies are from PBE+U.

Output
- Energy above the lowest structure with this stoichiometry: 14 meV per atom
- ΔE_f: -2.427 eV per atom
- E_tot: -7.47 eV/atom

a = 12.9152 Å, b = 12.9152 Å, c = 7.6779 Å
α = 90.00°, β = 90.00°, γ = 120.00°
Space group P-3m1 (No. 164)
Asymmetric unit:
Mn (0.0000, 0.0000, 0.0000) x1
Mn (0.0000, 0.2390, 0.0000) x6
Mn (0.0000, 0.5000, 0.0000) x3
Mn (0.2478, 0.4956, 0.9440) x6
Si (0.0906, 0.4229, 0.3579) x12
Cl (0.3333, 0.6667, 0.1663) x2
O (0.0000, 0.3280, 0.5000) x6
O (0.0559, 0.3908, 0.1500) x12
O (0.0788, 0.1576, 0.1187) x6
O (0.1038, 0.5519, 0.3949) x6
O (0.1522, 0.5761, 0.8856) x6
O (0.1596, 0.3191, 0.8926) x6
O (0.2159, 0.4319, 0.4003) x6



Here is crystalline Ba4YCuW2O12 at its relaxed geometry from Materials Project. Energies are from PBE+U.

Output
- ΔE_f: -2.817 eV per atom
- E_tot: -7.14 eV/atom

a = 5.966 Å, b = 5.966 Å, c = 8.489 Å
α = 90.00°, β = 90.00°, γ = 90.00°
Space group P4/mmm (No. 123)
Asymmetric unit:
Ba (0.000, 0.500, 0.234) x4
Y (0.000, 0.000, 0.500) x1
Cu (0.500, 0.500, 0.000) x1
W (0.000, 0.000, 0.000) x1
W (0.500, 0.500, 0.500) x1
O (0.000, 0.000, 0.235) x2
O (0.231, 0.231, 0.000) x4
O (0.266, 0.266, 0.500) x4
O (0.500, 0.500, 0.272) x2



Question: The highest ΔE_f belongs to which entry?
Answer: YMo3O8